DFT (PBE-GGA) results for crystalline Na2Ti12O25 at its relaxed geometry.

a = 9.385 Å, b = 3.756 Å, c = 14.639 Å
α = 90.00°, β = 105.78°, γ = 90.00°
Space group P2/m (No. 10)
Symmetry-distinct sites (fractional):
Na 0.206 0.000 0.458 [2 per cell]
Ti 0.106 0.500 0.257 [2 per cell]
Ti 0.139 0.000 0.093 [2 per cell]
Ti 0.181 0.000 0.854 [2 per cell]
Ti 0.185 0.500 0.676 [2 per cell]
Ti 0.468 0.000 0.796 [2 per cell]
Ti 0.490 0.500 0.624 [2 per cell]
O 0.020 0.500 0.364 [2 per cell]
O 0.068 0.000 0.221 [2 per cell]
O 0.107 0.000 0.961 [2 per cell]
O 0.127 0.500 0.121 [2 per cell]
O 0.142 0.500 0.817 [2 per cell]
O 0.217 0.000 0.716 [2 per cell]
O 0.261 0.500 0.576 [2 per cell]
O 0.293 0.500 0.326 [2 per cell]
O 0.342 0.000 0.136 [2 per cell]
O 0.378 0.000 0.895 [2 per cell]
O 0.429 0.500 0.758 [2 per cell]
O 0.489 0.000 0.656 [2 per cell]
O 0.500 0.500 0.500 [1 per cell]

Computed properties:
Energy relative to the elements, eV per formula unit: -132.25
Offset from the most stable computed form, kJ/mol of formula units: 10